Record 1
Computed, not measured: an optimized crystal structure of NdCu2SeO2 at the PBE level of DFT. Values from VASP.

Quantum ESPRESSO input file:
```
&SYSTEM
  ibrav = 0, nat = 6, ntyp = 4
/
ATOMIC_SPECIES
Nd 144.24 Nd.upf
Cu 63.55 Cu.upf
Se 78.96 Se.upf
O 16.00 O.upf
CELL_PARAMETERS angstrom
3.806 0.000 0.000
0.000 3.806 0.000
0.000 0.000 12.186
ATOMIC_POSITIONS angstrom
Nd 0.000 0.000 0.000
Cu 0.000 0.000 3.912
Cu 0.000 0.000 8.274
Se 0.000 0.000 6.093
O 0.000 0.000 2.156
O 0.000 0.000 10.031
```

Calculated values
Density = 3.6 g cm⁻³
Formation enthalpy at 0 K = -589 meV/atom
Total moment = 0.14 μB/f.u.

=====

Record 2
Computed, not measured: an optimized crystal structure of Nd2CuSnO6 at the PBE level of DFT. Values from VASP.

Quantum ESPRESSO input file:
```
&SYSTEM
  ibrav = 0, nat = 40, ntyp = 4
/
ATOMIC_SPECIES
Nd 144.24 Nd.upf
Cu 63.55 Cu.upf
Sn 118.71 Sn.upf
O 16.00 O.upf
CELL_PARAMETERS angstrom
7.794 0.000 0.000
0.000 7.768 0.000
-0.416 0.000 8.607
ATOMIC_POSITIONS angstrom
Nd 1.416 1.942 2.139
Nd 1.433 1.942 6.979
Nd 2.181 5.826 1.796
Nd 1.951 5.826 6.640
Nd 5.427 1.942 1.967
Nd 5.197 1.942 6.811
Nd 5.944 5.826 1.628
Nd 5.962 5.826 6.468
Cu 0.000 0.000 0.000
Cu 0.000 3.884 0.000
Cu 3.897 0.000 0.000
Cu 3.897 3.884 0.000
Sn -0.208 0.000 4.303
Sn -0.208 3.884 4.303
Sn 3.689 0.000 4.303
Sn 3.689 3.884 4.303
O 0.284 5.826 0.321
O 0.174 4.343 6.270
O 0.174 7.310 6.270
O 0.454 1.942 4.690
O 1.748 4.225 3.555
O 1.748 7.428 3.555
O 1.927 0.326 0.370
O 1.927 3.558 0.370
O 3.092 0.439 6.230
O 3.092 3.445 6.230
O 3.220 5.826 8.555
O 3.537 1.942 3.486
O 3.840 5.826 5.121
O 4.157 1.942 0.052
O 4.285 4.323 2.377
O 4.285 7.329 2.377
O 5.450 4.211 8.237
O 5.450 7.442 8.237
O 5.629 0.341 5.052
O 5.629 3.543 5.052
O 6.923 5.826 3.916
O 7.204 0.459 2.336
O 7.204 3.425 2.336
O 7.094 1.942 8.286
```

Calculated values
Density = 7.2 g cm⁻³
Formation enthalpy at 0 K = -2721 meV/atom
Total moment = 0.44 μB/f.u.

=====

Copy entry 2 word for word.
Computed, not measured: an optimized crystal structure of Nd2CuSnO6 at the PBE level of DFT. Values from VASP.

Quantum ESPRESSO input file:
```
&SYSTEM
  ibrav = 0, nat = 40, ntyp = 4
/
ATOMIC_SPECIES
Nd 144.24 Nd.upf
Cu 63.55 Cu.upf
Sn 118.71 Sn.upf
O 16.00 O.upf
CELL_PARAMETERS angstrom
7.794 0.000 0.000
0.000 7.768 0.000
-0.416 0.000 8.607
ATOMIC_POSITIONS angstrom
Nd 1.416 1.942 2.139
Nd 1.433 1.942 6.979
Nd 2.181 5.826 1.796
Nd 1.951 5.826 6.640
Nd 5.427 1.942 1.967
Nd 5.197 1.942 6.811
Nd 5.944 5.826 1.628
Nd 5.962 5.826 6.468
Cu 0.000 0.000 0.000
Cu 0.000 3.884 0.000
Cu 3.897 0.000 0.000
Cu 3.897 3.884 0.000
Sn -0.208 0.000 4.303
Sn -0.208 3.884 4.303
Sn 3.689 0.000 4.303
Sn 3.689 3.884 4.303
O 0.284 5.826 0.321
O 0.174 4.343 6.270
O 0.174 7.310 6.270
O 0.454 1.942 4.690
O 1.748 4.225 3.555
O 1.748 7.428 3.555
O 1.927 0.326 0.370
O 1.927 3.558 0.370
O 3.092 0.439 6.230
O 3.092 3.445 6.230
O 3.220 5.826 8.555
O 3.537 1.942 3.486
O 3.840 5.826 5.121
O 4.157 1.942 0.052
O 4.285 4.323 2.377
O 4.285 7.329 2.377
O 5.450 4.211 8.237
O 5.450 7.442 8.237
O 5.629 0.341 5.052
O 5.629 3.543 5.052
O 6.923 5.826 3.916
O 7.204 0.459 2.336
O 7.204 3.425 2.336
O 7.094 1.942 8.286
```

Calculated values
Density = 7.2 g cm⁻³
Formation enthalpy at 0 K = -2721 meV/atom
Total moment = 0.44 μB/f.u.